NiP3H12NO7: optimized geometry, PBE+U.

Unit cell a=7.429 b=15.031 c=9.826 alpha=90.00 beta=116.76 gamma=90.00
Space group P2_1/c (No. 14)
One atom of each set of equivalent atoms:
Ni: 0.005 0.172 0.403 (multiplicity 4)
P: 0.097 0.653 0.453 (multiplicity 4)
P: 0.227 0.169 0.802 (multiplicity 4)
P: 0.422 0.574 0.228 (multiplicity 4)
H: 0.089 0.110 0.819 (multiplicity 4)
H: 0.113 0.137 0.116 (multiplicity 4)
H: 0.152 0.005 0.454 (multiplicity 4)
H: 0.184 0.568 0.514 (multiplicity 4)
H: 0.240 0.047 0.348 (multiplicity 4)
H: 0.321 0.647 0.949 (multiplicity 4)
H: 0.321 0.690 0.789 (multiplicity 4)
H: 0.376 0.533 0.339 (multiplicity 4)
H: 0.417 0.126 0.884 (multiplicity 4)
H: 0.442 0.593 0.864 (multiplicity 4)
H: 0.463 0.191 0.540 (multiplicity 4)
H: 0.490 0.157 0.204 (multiplicity 4)
N: 0.407 0.656 0.891 (multiplicity 4)
O: 0.127 0.051 0.376 (multiplicity 4)
O: 0.153 0.715 0.590 (multiplicity 4)
O: 0.163 0.680 0.334 (multiplicity 4)
O: 0.184 0.173 0.636 (multiplicity 4)
O: 0.224 0.592 0.084 (multiplicity 4)
O: 0.239 0.245 0.388 (multiplicity 4)
O: 0.423 0.019 0.295 (multiplicity 4)

## Properties
- total energy (eV per cell) = -501.92
- calculated formation energy (eV per atom) = -1.130
- mass density (g cm⁻³) = 2.0
- crystal system = monoclinic
- total magnetization (μB/f.u.) = 2.00